No. 1
PBE with a Hubbard U Ba3NdV3O12, relaxed; E = -281.58 eV per cell; theoretical density = 4.89 g/cm³; V = 612 Å³/cell; symmetry = Cm (8); total magnetic moment = 0.00 μB per formula unit
1.0
-10.924 -1.289 3.237
-7.891 -3.854 7.373
-0.218 8.127 5.198
Ba O V Nd
6 24 6 2
Direct
0.661 0.661 0.325 Ba
0.195 0.195 0.011 Ba
0.801 0.801 0.993 Ba
0.004 0.004 0.015 Ba
0.333 0.333 0.659 Ba
0.137 0.137 0.661 Ba
0.108 0.108 0.227 O
0.327 0.327 0.951 O
0.498 0.982 0.771 O
0.663 0.663 0.604 O
0.015 0.511 0.221 O
0.550 0.550 0.118 O
0.188 0.680 0.560 O
0.142 0.656 0.117 O
0.222 0.222 0.461 O
0.847 0.344 0.882 O
0.795 0.795 0.528 O
0.008 0.008 0.725 O
0.656 0.142 0.117 O
0.511 0.015 0.221 O
0.452 0.452 0.873 O
0.347 0.347 0.379 O
0.982 0.498 0.771 O
0.675 0.675 0.045 O
0.823 0.310 0.470 O
0.344 0.847 0.882 O
0.881 0.881 0.789 O
0.982 0.982 0.303 O
0.310 0.823 0.470 O
0.680 0.188 0.560 O
0.603 0.603 0.980 V
0.735 0.735 0.663 V
0.938 0.938 0.661 V
0.054 0.054 0.365 V
0.275 0.275 0.321 V
0.397 0.397 0.017 V
0.513 0.513 0.632 Nd
0.877 0.877 0.329 Nd



No. 2
PBE with a Hubbard U Ba2NdWO6, relaxed; E = -292.86 eV per cell; theoretical density = 7.11 g/cm³; V = 653 Å³/cell; symmetry = Pn-3 (201); total magnetic moment = 1.00 μB per formula unit
1.0
8.676 0.000 0.000
0.000 8.676 0.000
0.000 0.000 8.676
W Ba O Nd
4 8 24 4
Direct
0.750 0.250 0.750 W
0.750 0.750 0.250 W
0.250 0.750 0.750 W
0.250 0.250 0.250 W
0.500 0.000 0.500 Ba
0.000 0.500 0.500 Ba
0.500 0.000 0.000 Ba
0.500 0.500 0.000 Ba
0.000 0.000 0.000 Ba
0.000 0.000 0.500 Ba
0.500 0.500 0.500 Ba
0.000 0.500 0.000 Ba
0.519 0.227 0.730 O
0.230 0.019 0.273 O
0.773 0.270 0.519 O
0.727 0.230 0.981 O
0.773 0.730 0.481 O
0.270 0.519 0.773 O
0.519 0.773 0.270 O
0.273 0.230 0.019 O
0.730 0.519 0.227 O
0.981 0.727 0.230 O
0.019 0.727 0.770 O
0.019 0.273 0.230 O
0.981 0.273 0.770 O
0.273 0.770 0.981 O
0.481 0.227 0.270 O
0.727 0.770 0.019 O
0.270 0.481 0.227 O
0.481 0.773 0.730 O
0.770 0.981 0.273 O
0.227 0.730 0.519 O
0.730 0.481 0.773 O
0.770 0.019 0.727 O
0.227 0.270 0.481 O
0.230 0.981 0.727 O
0.750 0.750 0.750 Nd
0.250 0.250 0.750 Nd
0.250 0.750 0.250 Nd
0.750 0.250 0.250 Nd



No. 3
PBE with a Hubbard U Ba2NdWO6, relaxed; E = -72.59 eV per cell; theoretical density = 7.10 g/cm³; V = 163 Å³/cell; symmetry = Fm-3m (225); total magnetic moment = 1.00 μB per formula unit
1.0
0.000 -4.340 -4.340
4.340 0.000 -4.340
4.340 -4.340 0.000
O Nd Ba W
6 1 2 1
Direct
0.269 0.731 0.269 O
0.731 0.731 0.269 O
0.731 0.269 0.731 O
0.269 0.731 0.731 O
0.269 0.269 0.731 O
0.731 0.269 0.269 O
0.000 0.000 0.000 Nd
0.750 0.750 0.750 Ba
0.250 0.250 0.250 Ba
0.500 0.500 0.500 W



No. 4
PBE with a Hubbard U BaNiO2, relaxed; E = -42.59 eV per cell; theoretical density = 5.84 g/cm³; V = 130 Å³/cell; symmetry = Cmcm (63); total magnetic moment = 0.00 μB per formula unit
1.0
2.911 -4.662 0.000
2.911 4.662 0.000
0.000 0.000 4.782
Ba Ni O
2 2 4
Direct
0.346 0.654 0.250 Ba
0.654 0.346 0.750 Ba
0.000 0.000 0.500 Ni
0.000 0.000 0.000 Ni
0.301 0.138 0.250 O
0.699 0.862 0.750 O
0.138 0.301 0.750 O
0.862 0.699 0.250 O



No. 5
PBE with a Hubbard U BaNiO3, relaxed; E = -54.08 eV per cell; theoretical density = 5.93 g/cm³; V = 137 Å³/cell; symmetry = P6_3/mmc (194)
1.0
2.740 4.157 2.814
-4.573 -2.508 2.346
2.864 -3.287 2.068
O Ba Ni
6 2 2
Direct
0.146 0.293 0.250 O
0.854 0.707 0.750 O
0.146 0.854 0.250 O
0.293 0.146 0.750 O
0.707 0.854 0.250 O
0.854 0.146 0.750 O
0.333 0.667 0.750 Ba
0.667 0.333 0.250 Ba
0.000 0.000 0.000 Ni
0.000 0.000 0.500 Ni



No. 6
PBE with a Hubbard U Ba3NiO4, relaxed; E = -90.02 eV per cell; theoretical density = 5.78 g/cm³; V = 307 Å³/cell; symmetry = R-3c (167); total magnetic moment = 2.00 μB per formula unit
1.0
-2.834 -6.466 1.627
1.567 -5.133 -4.866
4.910 -4.783 2.346
O Ba Ni
8 6 2
Direct
0.250 0.017 0.483 O
0.517 0.750 0.983 O
0.983 0.517 0.750 O
0.017 0.483 0.250 O
0.750 0.983 0.517 O
0.500 0.500 0.500 O
0.483 0.250 0.017 O
0.000 0.000 0.000 O
0.750 0.335 0.165 Ba
0.165 0.750 0.335 Ba
0.250 0.665 0.835 Ba
0.335 0.165 0.750 Ba
0.665 0.835 0.250 Ba
0.835 0.250 0.665 Ba
0.250 0.250 0.250 Ni
0.750 0.750 0.750 Ni